Record 1
A plane-wave DFT calculation with GGA-PBE was carried out for a geometry-optimized ZrInPt2 structure.

Output
**V**: 76 Å³ per cell

abc: 3.4002 3.4002 6.6078
angles: 90.00 90.00 90.00
Closest atoms and distances in Å follow each position.
Space group P4/mmm (No. 123)
Symmetry-distinct sites (fractional):
Zr  0.0000  0.0000  0.0000 x1  8 Pt 2.84
In  0.0000  0.0000  0.5000 x1  8 Pt 3.00, 2 Zr 3.30
Pt  0.5000  0.5000  0.2286 x2  4 Zr 2.84, 4 In 3.00, 1 Pt 3.02

***

Record 2
A plane-wave DFT calculation with GGA-PBE was carried out for a geometry-optimized U2Si5Ru3 structure.

Output
**V**: 655 Å³ per cell

abc: 11.1650 11.8058 5.7087
angles: 90.00 119.46 90.00
Closest atoms and distances in Å follow each position.
Space group C2/c (No. 15)
Symmetry-distinct sites (fractional):
U  0.2313  0.1367  0.2369 x8  10 Si 2.96-3.29, 4 Ru 3.00-3.25
Si  0.0000  0.0138  0.2500 x4  4 Ru 2.43-2.46
Si  0.0000  0.2789  0.2500 x4  3 Ru 2.49-2.61, 2 Si 2.55
Si  0.0000  0.2957  0.7500 x4  3 Ru 2.36-2.42, 2 Si 2.50
Si  0.1638  0.4009  0.1653 x8  3 Ru 2.36-2.47, 2 Si 2.50-2.55
Ru  0.0000  0.4997  0.2500 x4  6 Si 2.41-2.61
Ru  0.1003  0.1445  0.6351 x8  5 Si 2.36-2.49

***

Record 3
A plane-wave DFT calculation with GGA-PBE was carried out for a geometry-optimized BaSrTi4O12 structure.

Output
**V**: 245 Å³ per cell

abc: 5.5758 5.5758 7.8796
angles: 90.00 90.00 90.00
Closest atoms and distances in Å follow each position.
Space group P4/mmm (No. 123)
Symmetry-distinct sites (fractional):
Ba  0.0000  0.0000  0.0000 x1  12 O 2.79-2.83
Sr  0.5000  0.5000  0.5000 x1  12 O 2.74-2.79
Ti  0.0000  0.5000  0.2520 x4  6 O 1.95-1.99
O  0.0000  0.5000  0.0000 x2  2 Ti 1.99
O  0.0000  0.5000  0.5000 x2  2 Ti 1.95
O  0.2527  0.2527  0.2548 x8  2 Ti 1.97

***

Record 4
A plane-wave DFT calculation with GGA-PBE was carried out for a geometry-optimized Ge3Ir2Se3 structure.

Output
**V**: 671 Å³ per cell
**Energy above the most stable polymorph in this dataset**: 340 meV per atom

abc: 8.7536 8.7536 8.7536
angles: 90.00 90.00 90.00
Closest atoms and distances in Å follow each position.
Space group Pm-3 (No. 200)
Symmetry-distinct sites (fractional):
Ge  0.0000  0.1412  0.3290 x12  1 Ge 2.47, 2 Ir 2.53
Ir  0.2547  0.2547  0.2547 x8  3 Se 2.45, 3 Ge 2.53
Se  0.1612  0.5000  0.3512 x12  2 Ir 2.45, 1 Se 2.61

***

Number 1: VASP energy -6.62 eV per atom, total magnetization 0.000 μB per formula unit, ΔH_f (0 K) -0.76 eV per atom. Number 2: VASP energy -8.36 eV per atom, total magnetization 3.642 μB per formula unit, ΔH_f (0 K) -0.61 eV per atom. Number 3: VASP energy -7.77 eV per atom, total magnetization 4.000 μB per formula unit, ΔH_f (0 K) -2.97 eV per atom. Number 4: VASP energy -5.39 eV per atom, total magnetization 0.017 μB per formula unit, ΔH_f (0 K) -0.31 eV per atom.